NaGe | r2SCAN | optimized geometry

E_form   -20.7 kJ per mole of atoms
Calculated density   3.19 g cm⁻³
Calculated total energy   -8.933 eV/atom

Cell: 6.678 11.340 11.683 Å, 115.75 90.00 90.00°
Positions (direct):
Na  0.139  0.451  0.858
Na  0.639  0.049  0.142
Na  0.861  0.549  0.142
Na  0.361  0.951  0.858
Na  0.185  0.602  0.607
Na  0.685  0.898  0.393
Na  0.815  0.398  0.393
Na  0.315  0.102  0.607
Na  0.839  0.234  0.601
Na  0.339  0.266  0.399
Na  0.161  0.766  0.399
Na  0.661  0.734  0.601
Na  0.928  0.770  0.905
Na  0.428  0.730  0.095
Na  0.072  0.230  0.095
Na  0.572  0.270  0.905
Ge  0.687  0.511  0.879
Ge  0.187  0.989  0.121
Ge  0.313  0.489  0.121
Ge  0.813  0.011  0.879
Ge  0.791  0.524  0.676
Ge  0.291  0.976  0.324
Ge  0.209  0.476  0.324
Ge  0.709  0.024  0.676
Ge  0.470  0.404  0.679
Ge  0.970  0.096  0.321
Ge  0.530  0.596  0.321
Ge  0.030  0.904  0.679
Ge  0.486  0.655  0.805
Ge  0.986  0.845  0.195
Ge  0.514  0.345  0.195
Ge  0.014  0.155  0.805